Record 1
A plane-wave DFT calculation with PBE-GGA was carried out for a geometry-optimized LiScTl2Cl6 structure.

Summary:
energy of formation from the pure elements = -1998 meV per atom

a b c (Å): 7.1772 7.1772 7.1772
angles (deg): 60.00 60.00 60.00
Element x y z (fractional)
Li (0.5000, 0.5000, 0.5000)
Sc (0.0000, 0.0000, 0.0000)
Tl (0.2500, 0.2500, 0.2500)
Tl (0.7500, 0.7500, 0.7500)
Cl (0.7542, 0.2458, 0.2458)
Cl (0.2458, 0.7542, 0.7542)
Cl (0.2458, 0.7542, 0.2458)
Cl (0.7542, 0.2458, 0.7542)
Cl (0.2458, 0.2458, 0.7542)
Cl (0.7542, 0.7542, 0.2458)

***

Record 2
A plane-wave DFT calculation with PBE-GGA was carried out for a geometry-optimized LiSnCl3 structure.

Summary:
energy of formation from the pure elements = -1677 meV per atom

a b c (Å): 5.1790 5.1790 5.1790
angles (deg): 86.90 86.90 86.90
Element x y z (fractional)
Li (0.8891, 0.8891, 0.8891)
Sn (0.5225, 0.5225, 0.5225)
Cl (0.3745, 0.8573, 0.8573)
Cl (0.8573, 0.3745, 0.8573)
Cl (0.8573, 0.8573, 0.3745)

***

no.,VASP energy (eV/atom)
1,-4.035
2,-3.602